[1]
CrO2 | PBE+U | optimized geometry

a = 4.491 Å, b = 4.491 Å, c = 2.987 Å
α = 90.00°, β = 90.00°, γ = 90.00°
Fractional coordinates of all 6 atoms:
Cr1 0.000 0.000 0.000
Cr2 0.500 0.500 0.500
O1 0.198 0.198 0.500
O2 0.302 0.698 0.000
O3 0.698 0.302 0.000
O4 0.802 0.802 0.500

Formation energy from the elements   -6.143 eV per formula unit
Space group   No. 136
Energy   -44.64 eV/cell

[2]
ZnNi2O5 | PBE+U | optimized geometry

a = 3.285 Å, b = 4.905 Å, c = 11.166 Å
α = 89.81°, β = 89.86°, γ = 89.96°
Fractional coordinates of all 16 atoms:
Zn1 0.000 0.000 0.000
Zn2 0.498 0.173 0.498
Ni1 0.497 0.532 0.850
Ni2 0.500 0.531 0.149
Ni3 0.998 0.642 0.649
Ni4 0.999 0.643 0.350
O1 0.002 0.708 0.183
O2 0.004 0.000 0.599
O3 0.486 0.175 0.900
O4 0.498 0.466 0.316
O5 0.498 0.687 0.999
O6 0.499 0.466 0.684
O7 0.515 0.174 0.100
O8 0.992 0.000 0.399
O9 0.996 0.708 0.815
O10 0.999 0.487 0.499

Total magnetic moment   3.71 μB/f.u.
Formation energy from the elements   -5.586 eV per formula unit
E above lowest polymorph   0 meV/atom
Space group   No. 1
Energy   -69.26 eV/cell

[3]
LiMn4O8 | PBE+U | optimized geometry

a = 6.987 Å, b = 6.987 Å, c = 9.683 Å
α = 132.54°, β = 132.54°, γ = 24.68°
Fractional coordinates of all 13 atoms:
Li1 0.000 0.000 0.000
Mn1 0.167 0.127 0.476
Mn2 0.352 0.313 0.182
Mn3 0.687 0.648 0.818
Mn4 0.873 0.833 0.524
O1 0.065 0.027 0.725
O2 0.321 0.282 0.947
O3 0.365 0.325 0.653
O4 0.366 0.326 0.391
O5 0.674 0.634 0.609
O6 0.675 0.635 0.347
O7 0.718 0.679 0.053
O8 0.973 0.935 0.275

Total magnetic moment   13.00 μB/f.u.
Formation energy from the elements   -24.187 eV per formula unit
E above lowest polymorph   67 meV/atom
Space group   No. 5
Energy   -90.16 eV/cell

[4]
Mn2O3 | PBE+U | optimized geometry

a = 10.649 Å, b = 10.649 Å, c = 10.649 Å
α = 59.20°, β = 59.20°, γ = 59.20°
Fractional coordinates of all 80 atoms:
Mn1 0.000 0.000 0.000
Mn2 0.000 0.000 0.500
Mn3 0.000 0.500 0.000
Mn4 0.000 0.500 0.500
Mn5 0.110 0.640 0.633
Mn6 0.112 0.112 0.112
Mn7 0.131 0.615 0.134
Mn8 0.134 0.131 0.615
Mn9 0.248 0.750 0.748
Mn10 0.250 0.252 0.752
Mn11 0.252 0.752 0.250
Mn12 0.263 0.263 0.263
Mn13 0.360 0.367 0.890
Mn14 0.367 0.890 0.360
Mn15 0.384 0.384 0.384
Mn16 0.385 0.866 0.869
Mn17 0.500 0.000 0.000
Mn18 0.500 0.000 0.500
Mn19 0.500 0.500 0.000
Mn20 0.500 0.500 0.500
Mn21 0.615 0.134 0.131
Mn22 0.616 0.616 0.616
Mn23 0.633 0.110 0.640
Mn24 0.640 0.633 0.110
Mn25 0.737 0.737 0.737
Mn26 0.748 0.248 0.750
Mn27 0.750 0.748 0.248
Mn28 0.752 0.250 0.252
Mn29 0.866 0.869 0.385
Mn30 0.869 0.385 0.866
Mn31 0.888 0.888 0.888
Mn32 0.890 0.360 0.367
O1 0.016 0.318 0.485
O2 0.021 0.840 0.698
O3 0.045 0.446 0.185
O4 0.056 0.922 0.217
O5 0.063 0.293 0.727
O6 0.078 0.783 0.944
O7 0.160 0.302 0.979
O8 0.185 0.045 0.446
O9 0.199 0.491 0.328
O10 0.217 0.056 0.922
O11 0.219 0.772 0.439
O12 0.228 0.561 0.781
O13 0.273 0.937 0.707
O14 0.284 0.436 0.570
O15 0.293 0.727 0.063
O16 0.302 0.979 0.160
O17 0.318 0.485 0.016
O18 0.328 0.199 0.491
O19 0.430 0.716 0.564
O20 0.436 0.570 0.284
O21 0.439 0.219 0.772
O22 0.446 0.185 0.045
O23 0.485 0.016 0.318
O24 0.491 0.328 0.199
O25 0.509 0.672 0.801
O26 0.515 0.984 0.682
O27 0.554 0.815 0.955
O28 0.561 0.781 0.228
O29 0.564 0.430 0.716
O30 0.570 0.284 0.436
O31 0.672 0.801 0.509
O32 0.682 0.515 0.984
O33 0.698 0.021 0.840
O34 0.707 0.273 0.937
O35 0.716 0.564 0.430
O36 0.727 0.063 0.293
O37 0.772 0.439 0.219
O38 0.781 0.228 0.561
O39 0.783 0.944 0.078
O40 0.801 0.509 0.672
O41 0.815 0.955 0.554
O42 0.840 0.698 0.021
O43 0.922 0.217 0.056
O44 0.937 0.707 0.273
O45 0.944 0.078 0.783
O46 0.955 0.554 0.815
O47 0.979 0.160 0.302
O48 0.984 0.682 0.515

Total magnetic moment   8.00 μB/f.u.
Formation energy from the elements   -9.688 eV per formula unit
Space group   No. 148
Energy   -599.34 eV/cell

Question: What is the formula in the first record?
Answer: CrO2

Question: energy of number 4 (Mn2O3)?
Answer: -599.34 eV/cell

Question: Which of these has the highest formation energy from the elements?
Answer: ZnNi2O5